Material: Cs3Fe2Cl9
Method: DFT, PBE-GGA
State: relaxed

Unit cell a=7.3621 b=7.3621 c=8.9643 alpha=90.00 beta=90.00 gamma=120.00
Atoms (fractional coordinates):
Cs1 0.0000 0.0000 0.0000
Cs2 0.3333 0.6667 0.3306
Cs3 0.6667 0.3333 0.6694
Fe1 0.3333 0.6667 0.8143
Fe2 0.6667 0.3333 0.1857
Cl1 0.0000 0.5000 0.0000
Cl2 0.1788 0.3575 0.6847
Cl3 0.1788 0.8212 0.6847
Cl4 0.3575 0.1788 0.3153
Cl5 0.5000 0.0000 0.0000
Cl6 0.5000 0.5000 0.0000
Cl7 0.6425 0.8212 0.6847
Cl8 0.8212 0.1788 0.3153
Cl9 0.8212 0.6425 0.3153

E_form (eV per formula unit): -23.65
Polymorph energy (0 for the lowest one) (meV/atom): 47.3
Final energy (eV per cell): -54.39
Volume (Å³ per cell): 420.8